{
  "formula": "La2Ta3Se2O8",
  "functional": "PBE-GGA",
  "state": "relaxed",
  "lattice": [[10.028, 0.000, 0.000], [0.000, 12.090, 0.000], [0.000, 0.000, 7.724]],
  "species": ["La", "La", "La", "La", "La", "La", "La", "La", "Ta", "Ta", "Ta", "Ta", "Ta", "Ta", "Ta", "Ta", "Ta", "Ta", "Ta", "Ta", "Se", "Se", "Se", "Se", "Se", "Se", "Se", "Se", "O", "O", "O", "O", "O", "O", "O", "O", "O", "O", "O", "O", "O", "O", "O", "O", "O", "O", "O", "O", "O", "O", "O", "O", "O", "O", "O", "O", "O", "O", "O", "O"],
  "frac_coords": [[0.208, 0.156, 0.000], [0.228, 0.151, 0.500], [0.272, 0.651, 0.000], [0.292, 0.656, 0.500], [0.708, 0.344, 0.500], [0.728, 0.349, 0.000], [0.772, 0.849, 0.500], [0.792, 0.844, 0.000], [0.000, 0.500, 0.285], [0.000, 0.500, 0.715], [0.136, 0.917, 0.250], [0.136, 0.917, 0.750], [0.364, 0.417, 0.250], [0.364, 0.417, 0.750], [0.500, 0.000, 0.215], [0.500, 0.000, 0.785], [0.636, 0.583, 0.250], [0.636, 0.583, 0.750], [0.864, 0.083, 0.250], [0.864, 0.083, 0.750], [0.018, 0.339, 0.500], [0.024, 0.363, 0.000], [0.476, 0.863, 0.500], [0.482, 0.839, 0.000], [0.518, 0.161, 0.000], [0.524, 0.137, 0.500], [0.976, 0.637, 0.000], [0.982, 0.661, 0.500], [0.056, 0.102, 0.255], [0.056, 0.102, 0.745], [0.133, 0.948, 0.000], [0.148, 0.948, 0.500], [0.197, 0.523, 0.264], [0.197, 0.523, 0.736], [0.212, 0.777, 0.248], [0.212, 0.777, 0.752], [0.288, 0.277, 0.252], [0.288, 0.277, 0.748], [0.303, 0.023, 0.236], [0.303, 0.023, 0.764], [0.352, 0.448, 0.000], [0.367, 0.448, 0.500], [0.444, 0.602, 0.245], [0.444, 0.602, 0.755], [0.556, 0.398, 0.245], [0.556, 0.398, 0.755], [0.633, 0.552, 0.500], [0.648, 0.552, 0.000], [0.697, 0.977, 0.236], [0.697, 0.977, 0.764], [0.712, 0.723, 0.252], [0.712, 0.723, 0.748], [0.788, 0.223, 0.248], [0.788, 0.223, 0.752], [0.803, 0.477, 0.264], [0.803, 0.477, 0.736], [0.852, 0.052, 0.500], [0.867, 0.052, 0.000], [0.944, 0.898, 0.255], [0.944, 0.898, 0.745]],
  "spacegroup": "Pnnm",
  "e_form_ev_per_atom": -3.1404
}



{
  "formula": "UCrNi",
  "functional": "PBE-GGA",
  "state": "relaxed",
  "lattice": [[-2.441, 2.446, 3.740], [2.441, -2.446, 3.740], [2.441, 2.446, -3.740]],
  "species": ["U", "U", "Cr", "Cr", "Ni", "Ni"],
  "frac_coords": [[0.378, 0.128, 0.250], [0.622, 0.872, 0.750], [0.000, 0.500, 0.500], [0.500, 0.500, 0.000], [0.000, 0.000, 0.500], [0.000, 0.500, 0.000]],
  "spacegroup": "Imma",
  "e_form_ev_per_atom": 0.0286
}



{
  "formula": "Nd6CdGe2S14",
  "functional": "PBE-GGA",
  "state": "relaxed",
  "lattice": [[10.266, 0.000, 0.000], [-5.133, 8.890, 0.000], [0.000, 0.000, 5.821]],
  "species": ["Nd", "Nd", "Nd", "Nd", "Nd", "Nd", "Cd", "Ge", "Ge", "S", "S", "S", "S", "S", "S", "S", "S", "S", "S", "S", "S", "S", "S"],
  "frac_coords": [[0.025, 0.563, 0.000], [0.309, 0.104, 0.504], [0.437, 0.462, 0.000], [0.538, 0.975, 0.000], [0.795, 0.691, 0.504], [0.896, 0.205, 0.504], [0.667, 0.333, 0.266], [0.000, 0.000, 0.921], [0.333, 0.667, 0.415], [0.000, 0.000, 0.298], [0.081, 0.853, 0.764], [0.147, 0.229, 0.764], [0.186, 0.438, 0.260], [0.252, 0.814, 0.260], [0.333, 0.667, 0.793], [0.408, 0.170, 0.032], [0.502, 0.425, 0.521], [0.562, 0.748, 0.260], [0.575, 0.077, 0.521], [0.761, 0.592, 0.032], [0.771, 0.919, 0.764], [0.830, 0.239, 0.032], [0.923, 0.498, 0.521]],
  "spacegroup": "P3",
  "e_form_ev_per_atom": -1.8079
}



{
  "formula": "Mg16MnAl12",
  "functional": "PBE-GGA",
  "state": "relaxed",
  "lattice": [[7.307, 4.219, 3.106], [-7.307, 4.219, 3.106], [0.000, -8.437, 3.106]],
  "species": ["Mg", "Mg", "Mg", "Mg", "Mg", "Mg", "Mg", "Mg", "Mg", "Mg", "Mg", "Mg", "Mg", "Mg", "Mg", "Mg", "Mn", "Al", "Al", "Al", "Al", "Al", "Al", "Al", "Al", "Al", "Al", "Al", "Al"],
  "frac_coords": [[0.000, 0.000, 0.000], [0.277, 0.675, 0.675], [0.311, 0.591, 0.992], [0.311, 0.992, 0.591], [0.341, 0.990, 0.990], [0.406, 0.406, 0.699], [0.406, 0.699, 0.406], [0.591, 0.311, 0.992], [0.591, 0.992, 0.311], [0.675, 0.277, 0.675], [0.675, 0.675, 0.277], [0.699, 0.406, 0.406], [0.990, 0.341, 0.990], [0.990, 0.990, 0.341], [0.992, 0.311, 0.591], [0.992, 0.591, 0.311], [0.700, 0.700, 0.700], [0.163, 0.353, 0.353], [0.179, 0.179, 0.805], [0.179, 0.805, 0.179], [0.353, 0.163, 0.353], [0.353, 0.353, 0.163], [0.627, 0.808, 0.990], [0.627, 0.990, 0.808], [0.805, 0.179, 0.179], [0.808, 0.627, 0.990], [0.808, 0.990, 0.627], [0.990, 0.627, 0.808], [0.990, 0.808, 0.627]],
  "spacegroup": "R3m",
  "e_form_ev_per_atom": -0.0019
}



{
  "formula": "AgHO2",
  "functional": "PBE-GGA",
  "state": "relaxed",
  "lattice": [[4.238, -3.694, 0.000], [4.238, 3.694, 0.000], [-1.737, 0.000, 3.543]],
  "species": ["Ag", "Ag", "H", "H", "O", "O", "O", "O"],
  "frac_coords": [[0.250, 0.750, 0.000], [0.750, 0.250, 0.000], [0.221, 0.221, 0.416], [0.277, 0.277, 0.967], [0.134, 0.134, 0.138], [0.363, 0.363, 0.853], [0.682, 0.857, 0.448], [0.857, 0.682, 0.448]],
  "spacegroup": "Cm",
  "e_form_ev_per_atom": -0.7315
}



{
  "formula": "Al2O3",
  "functional": "PBE-GGA",
  "state": "relaxed",
  "lattice": [[4.886, 0.000, 0.000], [0.000, 8.397, 0.000], [0.000, 0.000, 9.025]],
  "species": ["Al", "Al", "Al", "Al", "Al", "Al", "Al", "Al", "Al", "Al", "Al", "Al", "Al", "Al", "Al", "Al", "O", "O", "O", "O", "O", "O", "O", "O", "O", "O", "O", "O", "O", "O", "O", "O", "O", "O", "O", "O", "O", "O", "O", "O"],
  "frac_coords": [[0.172, 0.031, 0.000], [0.176, 0.348, 0.201], [0.183, 0.660, 0.010], [0.186, 0.346, 0.789], [0.314, 0.846, 0.289], [0.317, 0.160, 0.510], [0.324, 0.848, 0.701], [0.328, 0.531, 0.500], [0.672, 0.469, 0.000], [0.676, 0.152, 0.201], [0.683, 0.840, 0.010], [0.686, 0.154, 0.789], [0.814, 0.654, 0.289], [0.817, 0.340, 0.510], [0.824, 0.652, 0.701], [0.828, 0.969, 0.500], [0.018, 0.169, 0.141], [0.021, 0.824, 0.129], [0.023, 0.488, 0.636], [0.157, 0.339, 0.400], [0.158, 0.669, 0.374], [0.158, 0.999, 0.406], [0.342, 0.169, 0.874], [0.342, 0.499, 0.906], [0.343, 0.839, 0.900], [0.477, 0.988, 0.136], [0.479, 0.324, 0.629], [0.482, 0.669, 0.641], [0.518, 0.331, 0.141], [0.521, 0.676, 0.129], [0.523, 0.012, 0.636], [0.657, 0.161, 0.400], [0.658, 0.501, 0.406], [0.658, 0.831, 0.374], [0.842, 0.001, 0.906], [0.842, 0.331, 0.874], [0.843, 0.661, 0.900], [0.977, 0.512, 0.136], [0.979, 0.176, 0.629], [0.982, 0.831, 0.641]],
  "spacegroup": "Pna2_1",
  "e_form_ev_per_atom": -3.4097
}



{
  "formula": "U3Al12Fe4",
  "functional": "PBE-GGA",
  "state": "relaxed",
  "lattice": [[8.691, 0.000, 0.000], [-4.345, 7.527, 0.000], [0.000, 0.000, 9.242]],
  "species": ["U", "U", "U", "U", "U", "U", "Al", "Al", "Al", "Al", "Al", "Al", "Al", "Al", "Al", "Al", "Al", "Al", "Al", "Al", "Al", "Al", "Al", "Al", "Al", "Al", "Al", "Al", "Al", "Al", "Fe", "Fe", "Fe", "Fe", "Fe", "Fe", "Fe", "Fe"],
  "frac_coords": [[0.202, 0.404, 0.250], [0.202, 0.798, 0.250], [0.404, 0.202, 0.750], [0.596, 0.798, 0.250], [0.798, 0.202, 0.750], [0.798, 0.596, 0.750], [0.000, 0.000, 0.250], [0.000, 0.000, 0.750], [0.121, 0.561, 0.750], [0.159, 0.318, 0.578], [0.159, 0.318, 0.922], [0.159, 0.841, 0.578], [0.159, 0.841, 0.922], [0.318, 0.159, 0.078], [0.318, 0.159, 0.422], [0.333, 0.667, 0.009], [0.333, 0.667, 0.491], [0.439, 0.561, 0.750], [0.439, 0.879, 0.750], [0.561, 0.121, 0.250], [0.561, 0.439, 0.250], [0.667, 0.333, 0.509], [0.667, 0.333, 0.991], [0.682, 0.841, 0.578], [0.682, 0.841, 0.922], [0.841, 0.159, 0.078], [0.841, 0.159, 0.422], [0.841, 0.682, 0.078], [0.841, 0.682, 0.422], [0.879, 0.439, 0.250], [0.000, 0.000, 0.000], [0.000, 0.000, 0.500], [0.000, 0.500, 0.000], [0.000, 0.500, 0.500], [0.500, 0.000, 0.000], [0.500, 0.000, 0.500], [0.500, 0.500, 0.000], [0.500, 0.500, 0.500]],
  "spacegroup": "P6_3/mmc",
  "e_form_ev_per_atom": -0.2829
}



{
  "formula": "ErPb3",
  "functional": "PBE-GGA",
  "state": "relaxed",
  "lattice": [[4.879, 0.000, 0.000], [0.000, 4.879, 0.000], [0.000, 0.000, 4.879]],
  "species": ["Er", "Pb", "Pb", "Pb"],
  "frac_coords": [[0.000, 0.000, 0.000], [0.000, 0.500, 0.500], [0.500, 0.000, 0.500], [0.500, 0.500, 0.000]],
  "spacegroup": "Pm-3m",
  "e_form_ev_per_atom": -0.2387
}